(1)
Na2Ta5Al3Si6S6O48 | PBE | relaxed

The structure in POSCAR format:
```
Na2Ta5Al3Si6S6O48
1.0
-3.9807 2.2144 16.8783
-4.1089 -6.0682 -4.7109
15.7454 -15.1218 5.6633
Na Ta Al Si S O
6 15 9 18 18 144
direct
0.9951 0.9833 0.4976 Na
0.5015 0.9990 0.9983 Na
0.3340 0.3199 0.8404 Na
0.8321 0.3376 0.8398 Na
0.3265 0.3241 0.3382 Na
0.8371 0.3426 0.3445 Na
0.4946 0.9946 0.3623 Ta
0.0057 0.0055 0.8643 Ta
0.4990 0.0015 0.6395 Ta
0.9998 0.0108 0.1454 Ta
0.3280 0.3349 0.6917 Ta
0.8257 0.3272 0.6845 Ta
0.3399 0.3445 0.1915 Ta
0.8332 0.3194 0.1899 Ta
0.1651 0.6658 0.0206 Ta
0.6648 0.6602 0.0248 Ta
0.1671 0.6733 0.5211 Ta
0.6742 0.6639 0.5248 Ta
0.1640 0.6793 0.3077 Ta
0.1665 0.6717 0.8081 Ta
0.6649 0.6475 0.8131 Ta
0.0075 0.0015 0.3539 Al
0.5054 0.0376 0.8526 Al
0.9955 0.0060 0.6460 Al
0.4938 0.9749 0.1440 Al
0.3443 0.3420 0.9756 Al
0.8361 0.3278 0.9739 Al
0.3314 0.3335 0.4798 Al
0.8285 0.3669 0.4773 Al
0.6722 0.6668 0.3170 Al
0.1405 0.0053 0.2509 Si
0.3600 0.7263 0.2486 Si
0.9992 0.2759 0.2582 Si
0.1336 0.2748 0.7469 Si
0.6413 0.2764 0.7515 Si
0.3623 0.0027 0.7516 Si
0.6933 0.0553 0.5750 Si
0.3318 0.6107 0.5775 Si
0.8463 0.6379 0.5822 Si
0.4724 0.6257 0.0784 Si
0.8340 0.0515 0.0765 Si
0.8087 0.6517 0.9206 Si
0.0179 0.3836 0.9165 Si
0.5177 0.3654 0.9185 Si
0.1770 0.9708 0.9182 Si
0.3070 0.9700 0.4183 Si
0.6724 0.3884 0.4130 Si
0.0149 0.6643 0.4163 Si
0.6406 0.9887 0.2508 S
0.8523 0.7143 0.2518 S
0.5075 0.2920 0.2492 S
0.9989 0.7159 0.7481 S
0.5015 0.7209 0.7523 S
0.8585 0.0020 0.7497 S
0.4733 0.3344 0.5809 S
0.9754 0.3265 0.5823 S
0.1880 0.0492 0.5828 S
0.9746 0.6176 0.0816 S
0.3377 0.0497 0.0829 S
0.1929 0.3329 0.0818 S
0.6867 0.3237 0.0841 S
0.3131 0.6668 0.9163 S
0.6636 0.9547 0.9162 S
0.8108 0.9545 0.4138 S
0.1665 0.3741 0.4174 S
0.5239 0.6598 0.4152 S
0.0991 0.0414 0.3081 O
0.6052 0.0304 0.3036 O
0.4236 0.8086 0.3069 O
0.9090 0.7863 0.3039 O
0.4884 0.1766 0.3023 O
0.9766 0.1438 0.3124 O
0.0934 0.1532 0.8064 O
0.6021 0.1609 0.8102 O
0.4833 0.7927 0.8050 O
0.9826 0.7882 0.8027 O
0.4189 0.0304 0.8103 O
0.9120 0.0260 0.8031 O
0.4037 0.9716 0.6911 O
0.8957 0.9706 0.6959 O
0.0779 0.1806 0.6889 O
0.5839 0.1914 0.6918 O
0.0104 0.8216 0.6953 O
0.5131 0.8212 0.6969 O
0.4060 0.8457 0.1915 O
0.8938 0.8199 0.1963 O
0.0085 0.1886 0.1947 O
0.5198 0.2123 0.1955 O
0.0814 0.9726 0.1904 O
0.5904 0.9694 0.1963 O
0.4343 0.3581 0.6355 O
0.9370 0.3583 0.6376 O
0.2446 0.1276 0.6370 O
0.7507 0.1323 0.6390 O
0.3208 0.4935 0.6383 O
0.8237 0.5046 0.6403 O
0.4282 0.4988 0.1384 O
0.9342 0.5097 0.1369 O
0.3186 0.1225 0.1366 O
0.8216 0.1453 0.1390 O
0.2450 0.3575 0.1367 O
0.7441 0.3566 0.1380 O
0.2302 0.3028 0.0290 O
0.7263 0.2963 0.0312 O
0.4068 0.5223 0.0244 O
0.9220 0.5388 0.0293 O
0.3474 0.1548 0.0296 O
0.8478 0.1846 0.0243 O
0.2309 0.1559 0.5297 O
0.7467 0.1828 0.5220 O
0.3471 0.5145 0.5224 O
0.8587 0.5483 0.5251 O
0.4191 0.3046 0.5281 O
0.9216 0.2973 0.5302 O
0.2696 0.6956 0.9710 O
0.7647 0.6977 0.9758 O
0.0836 0.4732 0.9757 O
0.5839 0.4701 0.9739 O
0.1585 0.8363 0.9759 O
0.6515 0.8446 0.9698 O
0.2653 0.8401 0.4764 O
0.7661 0.8383 0.4682 O
0.1534 0.4603 0.4710 O
0.6518 0.4734 0.4722 O
0.0824 0.6960 0.4742 O
0.5763 0.6900 0.4690 O
0.0682 0.6398 0.3598 O
0.5663 0.6411 0.3609 O
0.2493 0.8738 0.3598 O
0.7530 0.8680 0.3609 O
0.1830 0.4845 0.3643 O
0.6828 0.5082 0.3562 O
0.0706 0.5091 0.8606 O
0.5670 0.4950 0.8589 O
0.1881 0.8710 0.8608 O
0.6806 0.8758 0.8625 O
0.2566 0.6404 0.8638 O
0.7478 0.6300 0.8606 O
0.0072 0.8424 0.4075 O
0.5163 0.8249 0.4088 O
0.4045 0.9839 0.4086 O
0.8962 0.9603 0.4097 O
0.0849 0.1978 0.4130 O
0.5838 0.1916 0.4023 O
0.0122 0.1918 0.9094 O
0.5127 0.1756 0.9134 O
0.0835 0.9680 0.9106 O
0.5822 0.9639 0.9095 O
0.4012 0.8234 0.9114 O
0.9031 0.8238 0.9030 O
0.4849 0.1768 0.5868 O
0.9869 0.1698 0.5916 O
0.1004 0.0291 0.5901 O
0.5972 0.0319 0.5923 O
0.4178 0.8054 0.5911 O
0.9279 0.8331 0.5953 O
0.4889 0.8250 0.0887 O
0.9867 0.7960 0.0908 O
0.4184 0.0365 0.0904 O
0.9185 0.0250 0.0912 O
0.1015 0.1765 0.0900 O
0.5973 0.1695 0.0946 O
0.3501 0.1770 0.7400 O
0.8531 0.1679 0.7439 O
0.2360 0.3038 0.7421 O
0.7437 0.3102 0.7443 O
0.4229 0.5341 0.7439 O
0.9229 0.5305 0.7426 O
0.3498 0.5247 0.2420 O
0.8403 0.5313 0.2407 O
0.4223 0.3015 0.2432 O
0.9132 0.3090 0.2435 O
0.2414 0.1722 0.2389 O
0.7326 0.1577 0.2430 O
0.3156 0.5019 0.9241 O
0.8148 0.4764 0.9302 O
0.4247 0.3595 0.9229 O
0.9221 0.3598 0.9229 O
0.2567 0.1648 0.9315 O
0.7431 0.1332 0.9237 O
0.3219 0.1657 0.4291 O
0.8191 0.1276 0.4211 O
0.2455 0.3542 0.4256 O
0.7541 0.3567 0.4205 O
0.4338 0.5048 0.4201 O
0.9236 0.4799 0.4260 O
0.1837 0.4944 0.0767 O
0.6803 0.4880 0.0791 O
0.0650 0.6349 0.0772 O
0.5689 0.6404 0.0712 O
0.2588 0.8648 0.0757 O
0.7468 0.8578 0.0736 O
0.1800 0.8699 0.5779 O
0.6754 0.8529 0.5683 O
0.2436 0.6289 0.5713 O
0.7544 0.6485 0.5747 O
0.0652 0.4883 0.5761 O
0.5627 0.4950 0.5749 O
0.1520 0.8316 0.2547 O
0.6546 0.8376 0.2606 O
0.2621 0.6886 0.2626 O
0.7651 0.7000 0.2585 O
0.0845 0.4700 0.2614 O
0.5809 0.4729 0.2592 O
0.1511 0.4742 0.7602 O
0.6543 0.4782 0.7576 O
0.0805 0.7020 0.7551 O
0.5813 0.7032 0.7585 O
0.2620 0.8332 0.7597 O
0.7673 0.8496 0.7579 O
```

Summary:
E (MP2020)   -8.00 eV/atom
Symmetry   P1, No. 1
Density   3.6 g/cm³

(2)
Na10TaAl7Si6S6O48 | PBE | relaxed

The structure in POSCAR format:
```
Na10TaAl7Si6S6O48
1.0
-2.2684 -17.1244 -0.7622
7.9720 3.2473 1.0326
-2.3140 -0.8995 21.6383
Na Ta Al Si S O
30 3 21 18 18 144
direct
0.3183 0.9983 0.2499 Na
0.8196 0.9998 0.2515 Na
0.1822 0.3639 0.2509 Na
0.6837 0.3708 0.2428 Na
0.9988 0.6349 0.2478 Na
0.4973 0.6233 0.2527 Na
0.3153 0.6297 0.7502 Na
0.8090 0.6224 0.7501 Na
0.9975 0.3543 0.7492 Na
0.6818 0.0065 0.7543 Na
0.1613 0.3458 0.5810 Na
0.0134 0.6948 0.5797 Na
0.3332 0.9658 0.5848 Na
0.8299 0.9654 0.5786 Na
0.8337 0.6883 0.0763 Na
0.1700 0.3075 0.9122 Na
0.6706 0.3083 0.9165 Na
0.3550 0.6655 0.4178 Na
0.9986 0.9959 0.4933 Na
0.5093 0.9947 0.4991 Na
0.9934 0.9815 0.9949 Na
0.4946 0.9757 0.9966 Na
0.3363 0.3308 0.8342 Na
0.8311 0.3321 0.8361 Na
0.3387 0.3320 0.3354 Na
0.8371 0.3387 0.3347 Na
0.1616 0.6640 0.1639 Na
0.6551 0.6472 0.1609 Na
0.1691 0.6734 0.6651 Na
0.6588 0.6375 0.6671 Na
0.9983 0.0059 0.6440 Ta
0.0011 0.9948 0.1479 Ta
0.4960 0.0015 0.1408 Ta
0.9980 0.0006 0.3450 Al
0.4966 0.9841 0.3531 Al
0.9926 0.0047 0.8523 Al
0.4986 0.9926 0.8532 Al
0.5024 0.0031 0.6473 Al
0.3210 0.3230 0.6832 Al
0.8258 0.3300 0.6848 Al
0.3427 0.3435 0.1924 Al
0.8442 0.3624 0.1834 Al
0.3422 0.3639 0.9794 Al
0.8355 0.3629 0.9823 Al
0.3435 0.3571 0.4846 Al
0.8358 0.3390 0.4827 Al
0.1709 0.6754 0.0176 Al
0.6662 0.6559 0.0218 Al
0.1688 0.6676 0.5247 Al
0.6633 0.6587 0.5164 Al
0.1627 0.6629 0.3095 Al
0.6602 0.6460 0.3159 Al
0.1708 0.6600 0.8180 Al
0.6706 0.6531 0.8135 Al
0.1485 0.0056 0.2543 Si
0.3529 0.7058 0.2541 Si
0.8510 0.7045 0.2559 Si
0.9958 0.2902 0.2523 Si
0.5012 0.2849 0.2557 Si
0.1478 0.2903 0.7561 Si
0.6376 0.2819 0.7503 Si
0.8492 0.0020 0.7529 Si
0.9733 0.3412 0.5817 Si
0.1968 0.0519 0.5791 Si
0.3413 0.6345 0.5844 Si
0.8229 0.6072 0.5818 Si
0.4805 0.6117 0.0833 Si
0.9867 0.6216 0.0806 Si
0.6931 0.3359 0.0821 Si
0.3153 0.6734 0.9171 Si
0.8152 0.6747 0.9169 Si
0.5240 0.6682 0.4175 Si
0.6445 0.9993 0.2514 S
0.0048 0.7152 0.7539 S
0.4988 0.7073 0.7499 S
0.3561 0.0067 0.7507 S
0.4782 0.3381 0.5846 S
0.6863 0.0450 0.5823 S
0.3282 0.0507 0.0807 S
0.8323 0.0547 0.0821 S
0.1927 0.3390 0.0812 S
0.0210 0.3805 0.9178 S
0.5209 0.3790 0.9161 S
0.1676 0.9511 0.9163 S
0.6666 0.9478 0.9160 S
0.3086 0.9564 0.4170 S
0.8125 0.9604 0.4169 S
0.1624 0.3753 0.4168 S
0.6689 0.3737 0.4178 S
0.0220 0.6665 0.4174 S
0.1032 0.0536 0.3103 O
0.6041 0.0326 0.3059 O
0.4174 0.7891 0.3122 O
0.9222 0.7959 0.3095 O
0.4859 0.1533 0.3127 O
0.9737 0.1554 0.3092 O
0.0979 0.1674 0.8152 O
0.5949 0.1522 0.8113 O
0.4784 0.7864 0.8040 O
0.9892 0.8048 0.8052 O
0.4108 0.0255 0.8045 O
0.9201 0.0465 0.8063 O
0.3923 0.9651 0.6940 O
0.8942 0.9574 0.6915 O
0.0837 0.1978 0.6943 O
0.5781 0.1816 0.6913 O
0.0182 0.8151 0.6943 O
0.5145 0.8204 0.6943 O
0.3976 0.8425 0.1950 O
0.8945 0.8319 0.1922 O
0.0204 0.2037 0.1920 O
0.5218 0.2001 0.1941 O
0.0806 0.9562 0.1943 O
0.5875 0.9631 0.1962 O
0.4365 0.3648 0.6401 O
0.9312 0.3734 0.6439 O
0.2555 0.1261 0.6406 O
0.7425 0.1224 0.6380 O
0.3172 0.5030 0.6442 O
0.8142 0.5041 0.6460 O
0.4357 0.4986 0.1463 O
0.9454 0.5215 0.1459 O
0.3191 0.1265 0.1391 O
0.8238 0.1349 0.1398 O
0.2423 0.3547 0.1376 O
0.7526 0.3625 0.1432 O
0.2318 0.3063 0.0251 O
0.7322 0.2967 0.0201 O
0.4180 0.5309 0.0249 O
0.9176 0.5343 0.0255 O
0.3400 0.1596 0.0261 O
0.8462 0.1643 0.0270 O
0.2424 0.1882 0.5223 O
0.7280 0.1552 0.5270 O
0.3555 0.5507 0.5222 O
0.8491 0.5262 0.5241 O
0.4218 0.3022 0.5295 O
0.9077 0.2839 0.5242 O
0.2628 0.6967 0.9752 O
0.7660 0.6986 0.9778 O
0.0792 0.4679 0.9700 O
0.5768 0.4582 0.9704 O
0.1529 0.8418 0.9719 O
0.6534 0.8379 0.9705 O
0.2649 0.8378 0.4719 O
0.7707 0.8524 0.4739 O
0.1537 0.4630 0.4735 O
0.6569 0.4628 0.4719 O
0.0752 0.6856 0.4730 O
0.5859 0.6928 0.4760 O
0.0659 0.6451 0.3615 O
0.5699 0.6441 0.3550 O
0.2559 0.8713 0.3613 O
0.7591 0.8747 0.3618 O
0.1754 0.4903 0.3617 O
0.6854 0.4843 0.3610 O
0.0601 0.4877 0.8597 O
0.5607 0.4924 0.8605 O
0.1778 0.8625 0.8607 O
0.6734 0.8626 0.8582 O
0.2525 0.6310 0.8557 O
0.7506 0.6305 0.8572 O
0.0133 0.8280 0.4130 O
0.5104 0.8455 0.4113 O
0.3980 0.9694 0.4137 O
0.9026 0.9773 0.4126 O
0.0814 0.1993 0.4131 O
0.5885 0.1985 0.4124 O
0.0171 0.2048 0.9129 O
0.5148 0.2017 0.9090 O
0.0892 0.9775 0.9119 O
0.5874 0.9765 0.9124 O
0.4137 0.8486 0.9068 O
0.9146 0.8495 0.9076 O
0.4861 0.1742 0.5904 O
0.9876 0.1651 0.5881 O
0.0951 0.0254 0.5888 O
0.5973 0.0267 0.5897 O
0.4244 0.8371 0.5948 O
0.9168 0.8092 0.5890 O
0.4869 0.8103 0.0926 O
0.9901 0.8209 0.0863 O
0.4123 0.0348 0.0834 O
0.9144 0.0312 0.0855 O
0.1007 0.1766 0.0853 O
0.5922 0.1616 0.0883 O
0.3509 0.1702 0.7438 O
0.8426 0.1801 0.7403 O
0.2469 0.3159 0.7464 O
0.7398 0.3091 0.7436 O
0.4208 0.5279 0.7432 O
0.9242 0.5364 0.7494 O
0.3411 0.5110 0.2434 O
0.8393 0.5090 0.2457 O
0.4121 0.3000 0.2469 O
0.9060 0.3031 0.2416 O
0.2440 0.1745 0.2378 O
0.7336 0.1573 0.2435 O
0.3192 0.4855 0.9221 O
0.8223 0.4899 0.9210 O
0.4291 0.3501 0.9232 O
0.9297 0.3521 0.9241 O
0.2488 0.1296 0.9209 O
0.7481 0.1266 0.9187 O
0.3180 0.1327 0.4234 O
0.8193 0.1388 0.4217 O
0.2443 0.3611 0.4191 O
0.7495 0.3530 0.4238 O
0.4221 0.4889 0.4232 O
0.9324 0.5025 0.4213 O
0.1821 0.4972 0.0754 O
0.6839 0.5139 0.0772 O
0.0853 0.6482 0.0717 O
0.5809 0.6487 0.0727 O
0.2520 0.8685 0.0766 O
0.7548 0.8738 0.0790 O
0.1775 0.8494 0.5715 O
0.6786 0.8668 0.5771 O
0.2502 0.6512 0.5752 O
0.7418 0.6517 0.5719 O
0.0745 0.5065 0.5734 O
0.5680 0.4952 0.5766 O
0.1554 0.8277 0.2615 O
0.6556 0.8411 0.2571 O
0.2552 0.6867 0.2620 O
0.7555 0.6959 0.2639 O
0.0833 0.4844 0.2603 O
0.5887 0.4843 0.2584 O
0.1538 0.4886 0.7577 O
0.6493 0.4803 0.7570 O
0.0845 0.6944 0.7600 O
0.5810 0.6979 0.7582 O
0.2643 0.8465 0.7578 O
0.7511 0.8269 0.7588 O
```

Summary:
E (MP2020)   -7.09 eV/atom
Symmetry   P1, No. 1
Density   3.0 g/cm³

no.,energy of formation from the pure elements (eV per atom),volume (Å³/atom)
1,-2.7407,14.14
2,-2.6558,12.11